Record 1
# CuGe2P3

An optimized crystal structure of CuGe2P3 (PBE, the Materials Project database).

DFT total energy ... -4.851 eV/atom
Magnetic moment ... 0.24 μB/f.u.
DFT formation energy ... 0.08 eV/atom
SG ... No. 8

Cell lengths 12.427, 12.427, 6.610 Å; angles 85.59, 85.59, 17.41 degrees
Atoms (fractional coordinates):
Ge 0.873 0.873 0.370
P 0.777 0.777 0.422
P 0.151 0.151 0.280
Ge 0.125 0.125 0.626
P 0.412 0.412 0.534
Ge 0.248 0.248 0.239
Cu 0.749 0.749 0.752
P 0.915 0.915 0.028
P 0.655 0.655 0.790
Cu 0.636 0.636 0.121
P 0.275 0.275 0.896
Ge 0.371 0.371 0.879

***

Record 2
# CuGe2P3

An optimized crystal structure of CuGe2P3 (PBE, the Materials Project database).

DFT total energy ... -4.879 eV/atom
Magnetic moment ... 0.00 μB/f.u.
DFT formation energy ... 0.05 eV/atom
SG ... No. 156

Cell lengths 3.863, 3.863, 9.320 Å; angles 90.00, 90.00, 120.00 degrees
Atoms (fractional coordinates):
P 0.000 0.000 0.227
Ge 0.667 0.333 0.327
P 0.333 0.667 0.937
Ge 0.333 0.667 0.693
P 0.667 0.333 0.586
Cu 0.000 0.000 0.980

***

Record 3
# CuGe2P3

An optimized crystal structure of CuGe2P3 (PBE, the Materials Project database).

DFT total energy ... -4.675 eV/atom
Magnetic moment ... 0.00 μB/f.u.
DFT formation energy ... 0.26 eV/atom
SG ... No. 25

Cell lengths 3.638, 4.082, 10.203 Å; angles 90.00, 90.00, 90.00 degrees
Atoms (fractional coordinates):
P 0.000 0.500 0.909
Ge 0.000 0.000 0.485
P 0.000 0.500 0.361
P 0.500 0.000 0.639
Cu 0.000 0.000 0.968
Ge 0.500 0.500 0.763

***

Record 4
# CuGePSe

An optimized crystal structure of CuGePSe (PBE, the Materials Project database).

DFT total energy ... -4.556 eV/atom
Magnetic moment ... 0.00 μB/f.u.
DFT formation energy ... -0.27 eV/atom
SG ... No. 160

Cell lengths 6.756, 6.756, 6.756 Å; angles 33.62, 33.62, 33.62 degrees
Atoms (fractional coordinates):
Se 0.627 0.627 0.627
Ge 0.502 0.502 0.502
Cu 0.002 0.002 0.002
P 0.119 0.119 0.119

***

Record 5
# PrCuGe

An optimized crystal structure of PrCuGe (PBE, the Materials Project database).

DFT total energy ... -5.113 eV/atom
DFT formation energy ... -0.61 eV/atom
SG ... No. 187

Cell lengths 4.239, 4.239, 4.157 Å; angles 90.00, 90.00, 120.00 degrees
Atoms (fractional coordinates):
Cu 0.667 0.333 0.500
Ge 0.000 0.000 0.500
Pr 0.333 0.667 0.000

***

Record 6
# Pr3CuGeSe7

An optimized crystal structure of Pr3CuGeSe7 (PBE, the Materials Project database).

DFT total energy ... -5.276 eV/atom
Magnetic moment ... 0.00 μB/f.u.
DFT formation energy ... -1.59 eV/atom
SG ... No. 173

Cell lengths 10.705, 10.705, 6.182 Å; angles 90.00, 90.00, 120.00 degrees
Atoms (fractional coordinates):
Se 0.481 0.901 0.489
Se 0.667 0.333 0.450
Ge 0.667 0.333 0.832
Se 0.519 0.099 0.989
Se 0.420 0.519 0.489
Pr 0.355 0.225 0.248
Se 0.162 0.906 0.230
Pr 0.870 0.645 0.248
Pr 0.645 0.775 0.748
Se 0.580 0.481 0.989
Pr 0.130 0.355 0.748
Ge 0.333 0.667 0.332
Se 0.094 0.256 0.230
Se 0.906 0.744 0.730
Se 0.333 0.667 0.950
Se 0.838 0.094 0.730
Pr 0.225 0.870 0.748
Cu 0.000 0.000 0.217
Cu 0.000 0.000 0.717
Pr 0.775 0.130 0.248
Se 0.256 0.162 0.730
Se 0.744 0.838 0.230
Se 0.099 0.580 0.489
Se 0.901 0.420 0.989

***

What is the formula in the sixth record? Pr3CuGeSe7

***

The lowest DFT total energy belongs to which entry? Pr3CuGeSe7